[1]
Li5Ti2V3O10 after structural relaxation. Source: the Materials Project database, functional GGA+U.

Lattice parameters (Å, degrees): 5.1915 7.8336 10.2939 107.95 98.99 71.37
Atoms (fractional coordinates):
Li (0.4998, 0.4966, 0.4978)
Li (0.4998, 0.4966, 0.9978)
Li (0.2184, 0.5911, 0.2463)
Li (0.2184, 0.5911, 0.7463)
Li (0.7791, 0.4032, 0.2495)
Li (0.7791, 0.4032, 0.7495)
Li (0.3971, 0.2175, 0.2595)
Li (0.3971, 0.2175, 0.7595)
Li (0.6007, 0.7771, 0.2368)
Li (0.6007, 0.7771, 0.7368)
Ti (0.1059, 0.3041, 0.0076)
Ti (0.1059, 0.3041, 0.5076)
Ti (0.8925, 0.6894, 0.4885)
Ti (0.8926, 0.6894, 0.9885)
V (0.9989, 0.9970, 0.7480)
V (0.6955, 0.0935, 0.9956)
V (0.3024, 0.9003, 0.5002)
V (0.9989, 0.9970, 0.2480)
V (0.6955, 0.0934, 0.4956)
V (0.3024, 0.9004, 0.0002)
O (0.0416, 0.1515, 0.1229)
O (0.0416, 0.1515, 0.6229)
O (0.9562, 0.8423, 0.3730)
O (0.9562, 0.8424, 0.8730)
O (0.1371, 0.4567, 0.3890)
O (0.1371, 0.4567, 0.8890)
O (0.8614, 0.5371, 0.1071)
O (0.8614, 0.5370, 0.6071)
O (0.3298, 0.0653, 0.3757)
O (0.3299, 0.0654, 0.8757)
O (0.6680, 0.9285, 0.1201)
O (0.6680, 0.9284, 0.6201)
O (0.2205, 0.7542, 0.1216)
O (0.2205, 0.7542, 0.6216)
O (0.7773, 0.2399, 0.3745)
O (0.7774, 0.2399, 0.8745)
O (0.4263, 0.3379, 0.1158)
O (0.4263, 0.3379, 0.6158)
O (0.5720, 0.6559, 0.3803)
O (0.5720, 0.6559, 0.8803)


[2]
Li4Ti3VO8 after structural relaxation. Source: the Materials Project database, functional GGA+U.

Lattice parameters (Å, degrees): 6.0363 6.0363 6.0363 58.65 58.65 58.65
Atoms (fractional coordinates):
Li (0.0000, 0.0000, 0.0000)
Li (0.0000, 0.5000, 0.5000)
Li (0.5000, 0.0000, 0.5000)
Li (0.5000, 0.5000, 0.0000)
Ti (0.0000, 0.0000, 0.5000)
Ti (0.0000, 0.5000, 0.0000)
Ti (0.5000, 0.0000, 0.0000)
V (0.5000, 0.5000, 0.5000)
O (0.2332, 0.7505, 0.7505)
O (0.2448, 0.2448, 0.2448)
O (0.2495, 0.2495, 0.7668)
O (0.2495, 0.7668, 0.2495)
O (0.7505, 0.2332, 0.7505)
O (0.7505, 0.7505, 0.2332)
O (0.7552, 0.7552, 0.7552)
O (0.7668, 0.2495, 0.2495)

## Properties
* space-group type: No. 166


[3]
Li2TiV3O8 after structural relaxation. Source: the Materials Project database, functional GGA+U.

Lattice parameters (Å, degrees): 8.4549 8.4549 8.4819 90.00 90.00 90.00
Atoms (fractional coordinates):
Li (0.0001, 0.2447, 0.3744)
Li (0.9999, 0.7553, 0.8744)
Li (0.2447, 0.0001, 0.6256)
Li (0.2553, 0.5001, 0.1244)
Li (0.5001, 0.2553, 0.8756)
Li (0.4999, 0.7447, 0.3756)
Li (0.7447, 0.4999, 0.6244)
Li (0.7553, 0.9999, 0.1256)
Ti (0.1264, 0.8736, 0.2500)
Ti (0.3736, 0.3736, 0.5000)
Ti (0.6264, 0.6264, 0.0000)
Ti (0.8736, 0.1264, 0.7500)
V (0.1223, 0.1223, 0.0000)
V (0.1246, 0.3746, 0.7498)
V (0.1254, 0.6246, 0.4998)
V (0.3746, 0.1246, 0.2502)
V (0.3754, 0.8746, 0.0002)
V (0.3777, 0.6223, 0.7500)
V (0.6223, 0.3777, 0.2500)
V (0.6246, 0.1254, 0.5002)
V (0.6254, 0.8754, 0.7502)
V (0.8746, 0.3754, 0.9998)
V (0.8754, 0.6254, 0.2498)
V (0.8777, 0.8777, 0.5000)
O (0.1080, 0.8794, 0.4858)
O (0.1128, 0.1323, 0.7663)
O (0.1156, 0.3597, 0.9933)
O (0.1157, 0.6396, 0.2600)
O (0.1206, 0.8920, 0.0142)
O (0.1323, 0.1128, 0.2337)
O (0.1396, 0.3843, 0.5100)
O (0.1403, 0.6156, 0.7433)
O (0.3597, 0.1156, 0.0067)
O (0.3604, 0.8843, 0.2400)
O (0.3677, 0.6128, 0.5163)
O (0.3794, 0.3920, 0.7358)
O (0.3843, 0.1396, 0.4900)
O (0.3844, 0.8597, 0.7567)
O (0.3872, 0.6323, 0.9837)
O (0.3920, 0.3794, 0.2642)
O (0.6080, 0.6206, 0.7642)
O (0.6128, 0.3677, 0.4837)
O (0.6156, 0.1403, 0.2567)
O (0.6157, 0.8604, 0.9900)
O (0.6206, 0.6080, 0.2358)
O (0.6323, 0.3872, 0.0163)
O (0.6396, 0.1157, 0.7400)
O (0.6403, 0.8844, 0.5067)
O (0.8597, 0.3844, 0.2433)
O (0.8604, 0.6157, 0.0100)
O (0.8677, 0.8872, 0.7337)
O (0.8794, 0.1080, 0.5142)
O (0.8843, 0.3604, 0.7600)
O (0.8844, 0.6403, 0.4933)
O (0.8872, 0.8677, 0.2663)
O (0.8920, 0.1206, 0.9858)

## Properties
* space-group type: No. 96


| no. | E (MP2020) (eV per atom) | spin magnetization (μB/cell) |
| --- | --- | --- |
| 1 | -7.81 | 0.0 |
| 2 | -7.85 | 3.8 |
| 3 | -8.32 | 20.0 |